The following is a PBE-GGA calculation of a relaxed structure of HoCo12B6, from the Materials Project.

Cell: 5.953 5.953 5.953 Å, 104.03 104.03 104.03°
Fractional coordinates of all 19 atoms:
Ho: 0.000 0.000 0.000
Co: 0.132 0.500 0.868
Co: 0.132 0.868 0.500
Co: 0.186 0.455 0.455
Co: 0.455 0.186 0.455
Co: 0.455 0.455 0.186
Co: 0.500 0.132 0.868
Co: 0.500 0.868 0.132
Co: 0.545 0.545 0.814
Co: 0.545 0.814 0.545
Co: 0.814 0.545 0.545
Co: 0.868 0.132 0.500
Co: 0.868 0.500 0.132
B: 0.233 0.233 0.679
B: 0.233 0.679 0.233
B: 0.321 0.767 0.767
B: 0.679 0.233 0.233
B: 0.767 0.321 0.767
B: 0.767 0.767 0.321

Properties
SG = No. 166
Final energy = -7.1878 eV/atom



The following is a PBE-GGA calculation of a relaxed structure of HoCoB4, from the Materials Project.

Cell: 5.887 11.391 3.375 Å, 90.00 90.00 90.00°
Fractional coordinates of all 24 atoms:
Ho: 0.127 0.150 0.000
Ho: 0.373 0.650 0.000
Ho: 0.627 0.350 0.000
Ho: 0.873 0.850 0.000
Co: 0.135 0.411 0.000
Co: 0.365 0.911 0.000
Co: 0.635 0.089 0.000
Co: 0.865 0.589 0.000
B: 0.023 0.691 0.500
B: 0.111 0.546 0.500
B: 0.139 0.968 0.500
B: 0.218 0.815 0.500
B: 0.282 0.315 0.500
B: 0.361 0.468 0.500
B: 0.389 0.046 0.500
B: 0.477 0.191 0.500
B: 0.523 0.809 0.500
B: 0.611 0.954 0.500
B: 0.639 0.532 0.500
B: 0.718 0.685 0.500
B: 0.782 0.185 0.500
B: 0.861 0.032 0.500
B: 0.889 0.454 0.500
B: 0.977 0.309 0.500

Properties
SG = No. 55
Final energy = -7.0059 eV/atom



The following is a PBE-GGA calculation of a relaxed structure of In3Co20B6, from the Materials Project.

Cell: 7.555 7.555 7.555 Å, 60.00 60.00 60.00°
Fractional coordinates of all 29 atoms:
In: 0.000 0.000 0.000
In: 0.250 0.250 0.250
In: 0.750 0.750 0.750
Co: 0.000 0.000 0.344
Co: 0.000 0.000 0.656
Co: 0.000 0.344 0.000
Co: 0.000 0.344 0.656
Co: 0.000 0.656 0.000
Co: 0.000 0.656 0.344
Co: 0.160 0.613 0.613
Co: 0.344 0.000 0.000
Co: 0.344 0.000 0.656
Co: 0.344 0.656 0.000
Co: 0.387 0.387 0.387
Co: 0.387 0.387 0.840
Co: 0.387 0.840 0.387
Co: 0.613 0.160 0.613
Co: 0.613 0.613 0.160
Co: 0.613 0.613 0.613
Co: 0.656 0.000 0.000
Co: 0.656 0.000 0.344
Co: 0.656 0.344 0.000
Co: 0.840 0.387 0.387
B: 0.276 0.276 0.724
B: 0.276 0.724 0.276
B: 0.276 0.724 0.724
B: 0.724 0.276 0.276
B: 0.724 0.276 0.724
B: 0.724 0.724 0.276

Properties
SG = No. 225
Final energy = -6.6805 eV/atom
Magnetic moment = 19.01 μB per formula unit



Which formula does entry 1 have?
HoCo12B6



Which formula does entry 1 have?
HoCo12B6